VASP calculation (PBE) on a relaxed NaPrTe2 crystal.

Output
Space-group type: Fd-3m, No. 227
Formation energy: -1.537 eV per atom
Crystal system: cubic
Energy with MP2020 corrections: -4.635 eV per atom

Lattice parameters (Å, degrees): 9.193 9.193 9.193 60.00 60.00 60.00
Element x y z (fractional)
Na 0.125 0.625 0.125
Na 0.125 0.125 0.625
Na 0.625 0.125 0.125
Na 0.125 0.125 0.125
Pr 0.625 0.125 0.625
Pr 0.625 0.625 0.625
Pr 0.125 0.625 0.625
Pr 0.625 0.625 0.125
Te 0.378 0.867 0.378
Te 0.872 0.383 0.872
Te 0.872 0.872 0.383
Te 0.872 0.872 0.872
Te 0.867 0.378 0.378
Te 0.378 0.378 0.867
Te 0.378 0.378 0.378
Te 0.383 0.872 0.872

***

VASP calculation (PBE) on a relaxed KPb2Cl5 crystal.

Output
Space-group type: Pna2_1, No. 33
Formation energy: -1.738 eV per atom
Crystal system: orthorhombic
Energy with MP2020 corrections: -3.960 eV per atom

Lattice parameters (Å, degrees): 8.381 9.002 12.383 90.00 90.00 90.00
Element x y z (fractional)
K 0.529 0.505 0.176
K 0.971 0.505 0.676
K 0.029 0.005 0.324
K 0.471 0.005 0.824
Pb 0.490 0.015 0.178
Pb 0.584 0.249 0.496
Pb 0.916 0.249 0.996
Pb 0.010 0.015 0.678
Pb 0.990 0.515 0.322
Pb 0.084 0.749 0.004
Pb 0.416 0.749 0.504
Pb 0.510 0.515 0.822
Cl 0.550 0.243 0.004
Cl 0.640 0.731 0.692
Cl 0.682 0.538 0.418
Cl 0.652 0.953 0.404
Cl 0.685 0.266 0.724
Cl 0.815 0.266 0.224
Cl 0.848 0.953 0.904
Cl 0.818 0.538 0.918
Cl 0.860 0.731 0.192
Cl 0.950 0.243 0.504
Cl 0.050 0.743 0.496
Cl 0.140 0.231 0.808
Cl 0.152 0.453 0.096
Cl 0.182 0.038 0.082
Cl 0.185 0.766 0.776
Cl 0.315 0.766 0.276
Cl 0.318 0.038 0.582
Cl 0.348 0.453 0.596
Cl 0.360 0.231 0.308
Cl 0.450 0.743 0.996

***

no.,electronic total energy (eV per atom)
1,-4.424
2,-3.576